Entry from Materials Project: HoCu2 after structural relaxation (PBE).

a b c (Å): 4.305 5.437 5.437
angles (deg): 77.68 66.68 66.68
Positions (direct):
Cu  0.836  0.718  0.609
Cu  0.836  0.109  0.218
Cu  0.164  0.891  0.782
Cu  0.164  0.282  0.391
Ho  0.544  0.706  0.206
Ho  0.456  0.294  0.794

Computed properties:
Formation enthalpy at 0 K = -0.28 eV/atom
Space group = Imma, No. 74

---

Entry from Materials Project: Co2C after structural relaxation (PBE).

a b c (Å): 2.875 4.363 4.379
angles (deg): 90.00 90.00 90.00
Positions (direct):
Co  0.500  0.241  0.849
Co  0.000  0.259  0.349
Co  0.500  0.759  0.151
Co  0.000  0.741  0.651
C  0.000  0.000  0.000
C  0.500  0.500  0.500

Computed properties:
Formation enthalpy at 0 K = 0.11 eV/atom
Space group = Pnnm, No. 58
Total moment = 0.00 μB per atom

---

Entry from Materials Project: TiS after structural relaxation (PBE).

a b c (Å): 3.254 3.254 6.484
angles (deg): 90.00 90.00 120.00
Positions (direct):
S  0.667  0.333  0.750
S  0.333  0.667  0.250
Ti  0.000  0.000  0.500
Ti  0.000  0.000  0.000

Computed properties:
Formation enthalpy at 0 K = -1.67 eV/atom
Space group = P6_3/mmc, No. 194
MP2020-corrected energy = -7.686 eV per atom

---

Entry from Materials Project: HfNbB2 after structural relaxation (PBE).

a b c (Å): 4.845 4.845 3.179
angles (deg): 90.00 90.00 138.92
Positions (direct):
Nb  0.140  0.860  0.500
B  0.558  0.442  0.000
B  0.449  0.551  0.500
Hf  0.852  0.148  0.000

Computed properties:
Formation enthalpy at 0 K = -0.76 eV/atom
Space group = Amm2, No. 38

---

Entry from Materials Project: EuZnPb after structural relaxation (PBE).

a b c (Å): 6.248 6.248 7.779
angles (deg): 52.60 52.60 45.98
Positions (direct):
Pb  0.176  0.176  0.764
Pb  0.824  0.824  0.236
Eu  0.539  0.539  0.213
Eu  0.461  0.461  0.787
Zn  0.145  0.145  0.401
Zn  0.855  0.855  0.599

Computed properties:
Formation enthalpy at 0 K = -0.38 eV/atom
Space group = C2/m, No. 12
Total moment = 2.36 μB per atom

---

Entry from Materials Project: MgTe2MoW2Se2S2 after structural relaxation (PBE).

a b c (Å): 3.347 3.347 37.843
angles (deg): 90.00 90.00 120.00
Positions (direct):
W  0.333  0.667  0.585
W  0.333  0.667  0.116
Se  0.667  0.333  0.071
Se  0.667  0.333  0.160
Te  0.667  0.333  0.636
Te  0.667  0.333  0.535
Mg  0.000  0.000  0.449
S  0.333  0.667  0.300
S  0.333  0.667  0.380
Mo  0.667  0.333  0.339

Computed properties:
Formation enthalpy at 0 K = -0.46 eV/atom
Space group = P3m1, No. 156
Energy above the lowest structure with this stoichiometry = 0.96 kcal/mol of atoms
Total moment = 0.00 μB per atom
MP2020-corrected energy = -6.452 eV per atom